# 1
Entry from Materials Project: an optimized crystal structure of Li2TiCrO4 (GGA+U).

Properties
SG: No. 1

Unit cell a=5.2299 b=7.9633 c=7.7900 alpha=73.35 beta=105.20 gamma=91.53
Positions (direct):
Li  0.3236  0.3710  0.4350
Li  0.5611  0.8749  0.1882
Li  0.0611  0.8753  0.6877
Li  0.8231  0.3708  0.9355
Li  0.8699  0.2528  0.6257
Li  0.1134  0.7547  0.3773
Li  0.6131  0.7547  0.8775
Li  0.3691  0.2529  0.1261
Ti  0.6859  0.6280  0.5624
Ti  0.9314  0.1235  0.3152
Ti  0.4314  0.1234  0.8152
Ti  0.1857  0.6280  0.0617
Cr  0.4949  0.0019  0.5013
Cr  0.7577  0.4967  0.2485
Cr  0.2575  0.4967  0.7486
Cr  0.9948  0.0021  0.0008
O  0.4008  0.7224  0.6255
O  0.6569  0.2558  0.3622
O  0.1574  0.2554  0.8625
O  0.9016  0.7224  0.1254
O  0.9773  0.5101  0.5040
O  0.2192  0.0119  0.2563
O  0.7193  0.0121  0.7563
O  0.4774  0.5102  0.0042
O  0.8023  0.8791  0.4395
O  0.0504  0.3796  0.1898
O  0.5502  0.3795  0.6902
O  0.3022  0.8791  0.9396
O  0.1940  0.1197  0.5624
O  0.4615  0.6176  0.3065
O  0.9621  0.6183  0.8069
O  0.6937  0.1197  0.0620

***

# 2
Entry from Materials Project: an optimized crystal structure of Li2TiCrO4 (GGA+U).

Properties
SG: No. 12

Unit cell a=5.9658 b=10.3874 c=5.9660 alpha=106.67 beta=118.95 gamma=90.54
Positions (direct):
Li  0.5090  0.9987  0.0024
Li  0.9911  0.5013  0.9976
Li  0.9963  0.9987  0.4898
Li  0.5036  0.5014  0.5100
Li  0.5000  0.9990  0.4991
Li  0.9999  0.5010  0.5010
Li  0.2500  0.7500  0.4999
Li  0.7500  0.2500  0.5001
Ti  0.2500  0.2500  0.0002
Ti  0.7500  0.7500  0.9998
Ti  0.0086  0.9973  0.9886
Ti  0.4914  0.5027  0.0113
Cr  0.7500  0.2500  0.0001
Cr  0.2500  0.2500  0.5001
Cr  0.2501  0.7500  0.0000
Cr  0.7500  0.7500  0.4999
O  0.3697  0.6002  0.2306
O  0.8900  0.1299  0.2400
O  0.6295  0.8643  0.2351
O  0.1189  0.3593  0.2405
O  0.3811  0.1407  0.7597
O  0.8705  0.6357  0.7647
O  0.6100  0.3701  0.7601
O  0.1303  0.8998  0.7694
O  0.3588  0.1311  0.2472
O  0.8555  0.6252  0.2357
O  0.3891  0.6253  0.7700
O  0.8839  0.1311  0.7724
O  0.6161  0.3689  0.2277
O  0.1108  0.8747  0.2301
O  0.6445  0.8747  0.7638
O  0.1412  0.3689  0.7530

***

# 3
Entry from Materials Project: an optimized crystal structure of Li24Ti5Cr7O36 (GGA+U).

Properties
SG: No. 1

Unit cell a=5.0517 b=9.7842 c=13.4109 alpha=97.27 beta=100.75 gamma=94.67
Positions (direct):
Li  0.1712  0.9988  0.8331
Li  0.0510  0.9992  0.6139
Li  0.9989  0.7500  0.2497
Li  0.3332  0.7495  0.9175
Li  0.0500  0.4993  0.1131
Li  0.3749  0.4984  0.7783
Li  0.1710  0.4984  0.3334
Li  0.5062  0.4997  0.9987
Li  0.2905  0.5001  0.5555
Li  0.3330  0.2496  0.4170
Li  0.5008  0.0008  0.4996
Li  0.2834  0.9989  0.0535
Li  0.6160  0.0003  0.7194
Li  0.3808  0.0001  0.2809
Li  0.7120  0.0010  0.9466
Li  0.6647  0.7507  0.5828
Li  0.7091  0.5009  0.4450
Li  0.8352  0.5025  0.6658
Li  0.6152  0.5010  0.2207
Li  0.9517  0.5009  0.8880
Li  0.6636  0.2507  0.0818
Li  0.8353  0.9999  0.1664
Li  0.0002  0.2499  0.7506
Li  0.9515  0.9992  0.3864
Ti  0.1158  0.2553  0.9737
Ti  0.1148  0.7514  0.4731
Ti  0.7769  0.7477  0.8081
Ti  0.7746  0.2464  0.3052
Ti  0.8928  0.2497  0.5276
Cr  0.2194  0.7497  0.6940
Cr  0.2171  0.2497  0.1931
Cr  0.4412  0.2484  0.6406
Cr  0.5628  0.2503  0.8598
Cr  0.4457  0.7512  0.1359
Cr  0.5532  0.7486  0.3586
Cr  0.8931  0.7507  0.0317
O  0.9990  0.8634  0.9306
O  0.0686  0.6331  0.7867
O  0.9984  0.3646  0.4289
O  0.1516  0.3633  0.6452
O  0.2651  0.3644  0.8805
O  0.3369  0.8640  0.5946
O  0.0678  0.1332  0.2856
O  0.1880  0.1358  0.5230
O  0.4046  0.1347  0.9497
O  0.1339  0.8615  0.1405
O  0.2678  0.8649  0.3801
O  0.4714  0.8623  0.8093
O  0.3296  0.1393  0.7348
O  0.1979  0.6371  0.0270
O  0.4013  0.6331  0.4516
O  0.5200  0.6383  0.6898
O  0.3350  0.6405  0.2392
O  0.6676  0.6374  0.9066
O  0.3379  0.3646  0.0944
O  0.6699  0.3611  0.7661
O  0.4719  0.3618  0.3082
O  0.5948  0.3647  0.5506
O  0.8123  0.3641  0.9774
O  0.6641  0.8619  0.2590
O  0.5185  0.1382  0.1882
O  0.7346  0.1361  0.6201
O  0.8486  0.1363  0.8560
O  0.5915  0.8650  0.0504
O  0.8065  0.8624  0.4749
O  0.9381  0.8648  0.7145
O  0.6659  0.1356  0.4044
O  0.7421  0.6357  0.1157
O  0.8521  0.6378  0.3552
O  0.0014  0.6376  0.5748
O  0.9379  0.3648  0.2133
O  0.0009  0.1376  0.0739

***

# 4
Entry from Materials Project: an optimized crystal structure of Li2TiCrO4 (GGA+U).

Properties
SG: No. 1

Unit cell a=5.1791 b=6.0012 c=5.9362 alpha=60.15 beta=106.21 gamma=105.59
Positions (direct):
Li  0.0002  0.5002  0.4993
Li  0.9989  0.0002  0.0014
Li  0.0067  0.0005  0.4966
Li  0.9948  0.4987  0.0032
Ti  0.5021  0.7576  0.7421
Ti  0.5011  0.2415  0.2574
Cr  0.4998  0.2520  0.7516
Cr  0.4976  0.7478  0.2471
O  0.7265  0.6181  0.6348
O  0.7349  0.1496  0.1163
O  0.2740  0.8864  0.8606
O  0.2664  0.3464  0.3886
O  0.7328  0.1225  0.6289
O  0.7267  0.6168  0.1185
O  0.2754  0.3843  0.8781
O  0.2621  0.8773  0.3754

***

# 5
Entry from Materials Project: an optimized crystal structure of Li2TiCrO4 (GGA+U).

Properties
SG: No. 74

Unit cell a=5.9380 b=5.9378 c=5.9076 alpha=119.82 beta=119.82 gamma=89.87
Positions (direct):
Li  0.0000  0.5000  0.5000
Li  0.5000  0.5000  0.5000
Li  0.5000  0.0000  0.0000
Li  0.5000  0.5000  0.0000
Ti  0.0000  0.0000  0.5000
Ti  0.0000  0.0000  0.0000
Cr  0.0000  0.5000  0.0000
Cr  0.5000  0.0000  0.5000
O  0.2444  0.7556  0.0157
O  0.2459  0.2328  0.4894
O  0.2444  0.7556  0.4843
O  0.7672  0.7541  0.0106
O  0.2328  0.2459  0.9894
O  0.7556  0.2444  0.5157
O  0.7541  0.7672  0.5106
O  0.7556  0.2444  0.9843

***

# 6
Entry from Materials Project: an optimized crystal structure of Li4TiCrO6 (GGA+U).

Properties
SG: No. 1

Unit cell a=5.0700 b=8.7676 c=9.8111 alpha=81.54 beta=94.85 gamma=89.86
Positions (direct):
Li  0.2485  0.2519  0.0003
Li  0.7479  0.7511  0.0004
Li  0.4983  0.0016  0.5005
Li  0.9988  0.5016  0.5001
Li  0.3744  0.1233  0.7498
Li  0.8751  0.6232  0.7504
Li  0.1282  0.3740  0.2500
Li  0.6281  0.8739  0.2501
Li  0.4865  0.3352  0.4990
Li  0.9878  0.8352  0.4991
Li  0.7527  0.4239  0.9985
Li  0.2536  0.9238  0.9990
Li  0.7474  0.0740  0.0014
Li  0.2477  0.5739  0.0012
Li  0.0165  0.1634  0.5013
Li  0.5156  0.6633  0.5010
Ti  0.6230  0.2098  0.2496
Ti  0.1235  0.7100  0.2495
Ti  0.8697  0.2932  0.7488
Ti  0.3760  0.7934  0.7505
Cr  0.6276  0.5405  0.2506
Cr  0.3724  0.4568  0.7496
Cr  0.1272  0.0409  0.2503
Cr  0.8768  0.9567  0.7507
O  0.3257  0.1794  0.3665
O  0.8258  0.6793  0.3666
O  0.4191  0.0712  0.1357
O  0.9190  0.5710  0.1359
O  0.0683  0.4267  0.8658
O  0.5678  0.9273  0.8669
O  0.1832  0.3256  0.6356
O  0.6844  0.8262  0.6357
O  0.5648  0.2883  0.8623
O  0.0639  0.7876  0.8621
O  0.7148  0.1411  0.6379
O  0.2164  0.6407  0.6383
O  0.7862  0.3617  0.3624
O  0.2862  0.8618  0.3621
O  0.9311  0.2129  0.1382
O  0.4311  0.7127  0.1383
O  0.4610  0.3922  0.1357
O  0.9610  0.8923  0.1355
O  0.6805  0.4659  0.6352
O  0.1816  0.9655  0.6356
O  0.8273  0.0342  0.3615
O  0.3273  0.5341  0.3615
O  0.0347  0.1033  0.8613
O  0.5354  0.6040  0.8618

***

Electronic total energy, respectively: -7.206; -7.206; -6.601; -7.203; -7.206; -6.664 eV/atom.
Energy of formation from the pure elements, respectively: -2.6543; -2.6551; -2.5422; -2.6512; -2.6544; -2.6013 eV/atom.